Here is a relaxed K2RbTaF6 crystal from the Materials Project. Energies are from GGA-PBE. Values from VASP.

Values from the calculation:
- density (g/cm3) = 3.5
- electronic total energy (eV per atom) = -5.246
- total moment (μB/f.u.) = 1.8

Structure (Quantum ESPRESSO input):
```
&SYSTEM
  ibrav = 0, nat = 10, ntyp = 4
/
ATOMIC_SPECIES
K 39.10 K.upf
Rb 85.47 Rb.upf
Ta 180.95 Ta.upf
F 19.00 F.upf
CELL_PARAMETERS angstrom
0.000 4.752 4.752
4.752 0.000 4.752
4.752 4.752 0.000
ATOMIC_POSITIONS crystal
K 0.250 0.250 0.250
K 0.750 0.750 0.750
Rb 0.000 0.000 0.000
Ta 0.500 0.500 0.500
F 0.282 0.282 0.718
F 0.282 0.718 0.282
F 0.282 0.718 0.718
F 0.718 0.282 0.282
F 0.718 0.282 0.718
F 0.718 0.718 0.282
```